Here is crystalline Na8Hf2Ga2Si5SO24 at its relaxed geometry from Materials Project. Energies are from PBE-GGA.

The structure in CIF format:
```
data_Na8Hf2Ga2Si5SO24
_chemical_formula_sum 'Na24 Hf6 Ga6 Si15 S3 O72'
_cell_length_a 9.071
_cell_length_b 9.083
_cell_length_c 22.387
_cell_angle_alpha 90.30
_cell_angle_beta 90.10
_cell_angle_gamma 119.77
_space_group_name_H-M_alt 'P 1'
_space_group_IT_number 1
loop_
_space_group_symop_operation_xyz
'x,y,z'
loop_
_atom_site_label
_atom_site_type_symbol
_atom_site_fract_x
_atom_site_fract_y
_atom_site_fract_z
Na1 Na 0.000 0.000 0.000
Na2 Na 0.000 0.362 0.503
Na3 Na 0.273 0.638 0.002
Na4 Na 0.274 0.002 0.500
Na5 Na 0.296 0.329 0.585
Na6 Na 0.304 0.337 0.087
Na7 Na 0.306 0.975 0.834
Na8 Na 0.318 0.715 0.333
Na9 Na 0.333 0.671 0.665
Na10 Na 0.337 0.039 0.168
Na11 Na 0.600 0.665 0.168
Na12 Na 0.602 0.290 0.669
Na13 Na 0.630 0.996 0.251
Na14 Na 0.639 0.641 0.498
Na15 Na 0.641 0.368 0.000
Na16 Na 0.642 0.015 0.750
Na17 Na 0.660 0.329 0.335
Na18 Na 0.679 0.706 0.838
Na19 Na 0.925 0.325 0.832
Na20 Na 0.932 0.964 0.337
Na21 Na 0.965 0.669 0.916
Na22 Na 0.969 0.675 0.418
Na23 Na 0.973 0.044 0.665
Na24 Na 0.976 0.304 0.166
Hf1 Hf 0.308 0.326 0.936
Hf2 Hf 0.311 0.332 0.438
Hf3 Hf 0.637 0.001 0.102
Hf4 Hf 0.970 0.677 0.267
Hf5 Hf 0.972 0.670 0.065
Hf6 Hf 0.981 0.671 0.564
Ga1 Ga 0.282 0.296 0.734
Ga2 Ga 0.325 0.340 0.229
Ga3 Ga 0.622 0.988 0.404
Ga4 Ga 0.637 0.016 0.597
Ga5 Ga 0.651 0.017 0.903
Ga6 Ga 0.971 0.666 0.767
Si1 Si 0.001 0.033 0.832
Si2 Si 0.266 0.663 0.169
Si3 Si 0.267 0.960 0.670
Si4 Si 0.310 0.044 0.332
Si5 Si 0.350 0.999 0.997
Si6 Si 0.354 0.716 0.502
Si7 Si 0.595 0.631 0.333
Si8 Si 0.601 0.337 0.830
Si9 Si 0.637 0.713 0.997
Si10 Si 0.640 0.288 0.499
Si11 Si 0.676 0.374 0.168
Si12 Si 0.919 0.002 0.500
Si13 Si 0.931 0.295 0.999
Si14 Si 0.974 0.374 0.670
Si15 Si 0.977 0.973 0.168
S1 S 0.012 0.334 0.333
S2 S 0.305 0.626 0.832
S3 S 0.677 0.669 0.668
O1 O 0.005 0.495 0.611
O2 O 0.010 0.883 0.110
O3 O 0.084 0.160 0.775
O4 O 0.092 0.308 0.279
O5 O 0.110 0.171 0.495
O6 O 0.119 0.364 0.387
O7 O 0.121 0.318 0.992
O8 O 0.129 0.124 0.890
O9 O 0.138 0.852 0.329
O10 O 0.142 0.877 0.611
O11 O 0.144 0.158 0.176
O12 O 0.145 0.632 0.110
O13 O 0.149 0.642 0.829
O14 O 0.154 0.366 0.676
O15 O 0.159 0.833 0.004
O16 O 0.161 0.694 0.506
O17 O 0.175 0.837 0.727
O18 O 0.178 0.700 0.226
O19 O 0.267 0.127 0.391
O20 O 0.277 0.519 0.886
O21 O 0.279 0.491 0.175
O22 O 0.285 0.151 0.672
O23 O 0.324 0.523 0.494
O24 O 0.330 0.170 0.994
O25 O 0.333 0.546 0.779
O26 O 0.338 0.165 0.275
O27 O 0.422 0.829 0.442
O28 O 0.434 0.963 0.939
O29 O 0.451 0.835 0.163
O30 O 0.455 0.975 0.662
O31 O 0.456 0.797 0.838
O32 O 0.466 0.039 0.057
O33 O 0.466 0.525 0.993
O34 O 0.470 0.311 0.495
O35 O 0.471 0.543 0.275
O36 O 0.473 0.797 0.561
O37 O 0.474 0.308 0.772
O38 O 0.482 0.030 0.339
O39 O 0.490 0.359 0.171
O40 O 0.507 0.509 0.391
O41 O 0.508 0.516 0.673
O42 O 0.516 0.375 0.889
O43 O 0.595 0.174 0.559
O44 O 0.601 0.793 0.057
O45 O 0.610 0.162 0.837
O46 O 0.620 0.823 0.339
O47 O 0.659 0.187 0.163
O48 O 0.662 0.822 0.663
O49 O 0.671 0.834 0.939
O50 O 0.679 0.208 0.440
O51 O 0.757 0.639 0.614
O52 O 0.764 0.496 0.110
O53 O 0.783 0.642 0.329
O54 O 0.787 0.698 0.721
O55 O 0.791 0.509 0.825
O56 O 0.799 0.460 0.226
O57 O 0.803 0.983 0.163
O58 O 0.804 0.184 0.662
O59 O 0.804 0.482 0.506
O60 O 0.805 0.968 0.440
O61 O 0.806 0.693 0.004
O62 O 0.811 0.217 0.940
O63 O 0.813 0.015 0.839
O64 O 0.838 0.036 0.561
O65 O 0.842 0.184 0.338
O66 O 0.849 0.175 0.058
O67 O 0.934 0.464 0.727
O68 O 0.935 0.845 0.225
O69 O 0.942 0.832 0.506
O70 O 0.949 0.484 0.005
O71 O 0.993 0.847 0.825
O72 O 0.996 0.491 0.329
```

Formation energy = -117.55 eV/f.u.
Crystal system = triclinic
Volume = 1601 Å³ per cell